(1)
The following is a GGA-PBE calculation of a geometry-optimized Li2CuP6H20C2N6O22 structure, from the Materials Project.

Its space-group type is P-1. The calculated total energy comes out at -6.12 eV/atom. The crystal system is triclinic. As for the formation energy: -1.53 eV per atom.

abc: 7.6279 9.3457 9.5744
angles: 85.24 109.45 108.04
Fractional positions:
1 O 0.0951 0.1876 0.2234
2 O 0.2718 0.9498 0.0592
3 O 0.8133 0.4810 0.6532
4 O 0.4740 0.8437 0.2820
5 O 0.2206 0.1216 0.4930
6 O 0.8058 0.8642 0.2543
7 O 0.1059 0.7221 0.4974
8 O 0.8941 0.2779 0.5026
9 O 0.9049 0.8124 0.7766
10 O 0.1867 0.5190 0.3468
11 O 0.6203 0.1162 0.2116
12 O 0.3831 0.3709 0.6417
13 O 0.6169 0.6291 0.3583
14 O 0.3418 0.0376 0.3213
15 O 0.1942 0.1358 0.7457
16 O 0.5463 0.6824 0.6208
17 O 0.4537 0.3176 0.3792
18 O 0.3797 0.8838 0.7884
19 O 0.7794 0.8784 0.5070
20 O 0.5260 0.1563 0.7180
21 O 0.6582 0.9624 0.6787
22 O 0.7282 0.0502 0.9408
23 N 0.1875 0.3414 0.9609
24 N 0.3023 0.5549 0.8362
25 N 0.2340 0.5782 0.0499
26 N 0.6977 0.4451 0.1638
27 N 0.8125 0.6586 0.0391
28 N 0.7660 0.4218 0.9501
29 P 0.7235 0.8201 0.6561
30 P 0.3263 0.2016 0.6555
31 P 0.5696 0.0032 0.7971
32 P 0.2765 0.1799 0.3439
33 P 0.4304 0.9968 0.2029
34 P 0.6737 0.7984 0.3445
35 H 0.7219 0.3084 0.9558
36 H 0.1908 0.2741 0.8839
37 H 0.2049 0.7714 0.5894
38 H 0.8994 0.5750 0.6310
39 H 0.7951 0.2286 0.4106
40 H 0.7956 0.4649 0.8557
41 H 0.0785 0.8033 0.4307
42 H 0.1409 0.2908 0.0465
43 H 0.2044 0.5351 0.1443
44 H 0.6335 0.3316 0.1646
45 H 0.3665 0.6684 0.8354
46 H 0.9215 0.1967 0.5693
47 H 0.3212 0.4905 0.7647
48 H 0.1006 0.4250 0.3690
49 H 0.8591 0.7092 0.9535
50 H 0.1630 0.5972 0.3971
51 H 0.2781 0.6916 0.0442
52 H 0.8370 0.4028 0.6029
53 H 0.6788 0.5095 0.2353
54 H 0.8092 0.7259 0.1161
55 C 0.2423 0.4915 0.9493
56 C 0.7577 0.5085 0.0507
57 Cu 0.5000 0.5000 0.5000
58 Li 0.8262 0.0590 0.1514
59 Li 0.1738 0.9410 0.8486

***

(2)
The following is a GGA-PBE calculation of a geometry-optimized LiCu4H8C2O10 structure, from the Materials Project.

Its space-group type is P1. The calculated total energy comes out at -5.38 eV/atom. The crystal system is triclinic. As for the formation energy: -1.12 eV per atom.

abc: 5.8395 6.2232 7.2793
angles: 90.28 110.45 90.92
Fractional positions:
1 Cu 0.4888 0.7950 0.0173
2 Cu 0.9838 0.0346 0.0089
3 Cu 0.4876 0.2790 0.0234
4 Cu 0.0273 0.5493 0.0085
5 C 0.7289 0.2129 0.5378
6 C 0.2649 0.7312 0.4321
7 Li 0.5808 0.5371 0.7672
8 H 0.1425 0.3074 0.2834
9 H 0.5848 0.2623 0.3987
10 H 0.1627 0.0481 0.7542
11 H 0.3961 0.8277 0.5554
12 H 0.8758 0.8076 0.7196
13 H 0.1921 0.5499 0.7269
14 H 0.8292 0.5456 0.2481
15 H 0.7999 0.0410 0.2745
16 O 0.7182 0.2901 0.6959
17 O 0.1572 0.2885 0.1543
18 O 0.2876 0.5396 0.8706
19 O 0.8290 0.7767 0.8338
20 O 0.8864 0.0819 0.5218
21 O 0.7212 0.5378 0.1088
22 O 0.7274 0.0359 0.1270
23 O 0.2631 0.7731 0.2620
24 O 0.1334 0.5890 0.4764
25 O 0.2518 0.0350 0.8971

***

(3)
The following is a GGA-PBE calculation of a geometry-optimized Na2CuH20C12N12O18 structure, from the Materials Project.

Its space-group type is P-1. The calculated total energy comes out at -6.56 eV/atom. The crystal system is triclinic. As for the formation energy: -0.99 eV per atom.

abc: 6.8617 10.4986 10.5444
angles: 117.15 83.99 108.83
Fractional positions:
1 O 0.6073 0.3233 0.9325
2 O 0.8138 0.6578 0.8742
3 O 0.2131 0.9305 0.5396
4 O 0.4825 0.6104 0.4544
5 O 0.4319 0.7550 0.8243
6 O 0.5175 0.3896 0.5456
7 O 0.2092 0.0495 0.2637
8 O 0.9102 0.5884 0.2587
9 O 0.7869 0.0695 0.4604
10 O 0.7454 0.0253 0.1015
11 O 0.0038 0.3313 0.4075
12 O 0.2546 0.9747 0.8985
13 O 0.9962 0.6687 0.5925
14 O 0.3927 0.6767 0.0675
15 O 0.0898 0.4116 0.7413
16 O 0.7908 0.9505 0.7363
17 O 0.1862 0.3422 0.1258
18 O 0.5681 0.2450 0.1757
19 N 0.4053 0.1210 0.7412
20 N 0.0631 0.8196 0.2629
21 N 0.1297 0.3807 0.9375
22 N 0.5712 0.3545 0.7368
23 N 0.8703 0.6193 0.0625
24 N 0.9918 0.1421 0.9316
25 N 0.6368 0.8404 0.4573
26 N 0.9369 0.1804 0.7371
27 N 0.5947 0.8790 0.2588
28 N 0.4288 0.6455 0.2632
29 N 0.0082 0.8579 0.0684
30 N 0.3632 0.1596 0.5427
31 H 0.7732 0.5080 0.0129
32 H 0.9286 0.2408 0.4200
33 H 0.0827 0.2949 0.3229
34 H 0.8777 0.1368 0.6327
35 H 0.6983 0.1144 0.1274
36 H 0.4393 0.7310 0.9034
37 H 0.5718 0.8173 0.8195
38 H 0.9173 0.7051 0.6771
39 H 0.6632 0.4670 0.7877
40 H 0.6977 0.8819 0.5603
41 H 0.0714 0.7592 0.5800
42 H 0.3017 0.8856 0.8726
43 H 0.3023 0.1181 0.4397
44 H 0.5607 0.2690 0.0966
45 H 0.2268 0.4920 0.9871
46 H 0.3368 0.5330 0.2123
47 H 0.1223 0.8632 0.3673
48 H 0.6835 0.9745 0.1655
49 H 0.4282 0.1827 0.1805
50 H 0.3165 0.0255 0.8345
51 Na 0.7573 0.4639 0.3971
52 Na 0.2427 0.5361 0.6029
53 Cu 0.0000 0.0000 0.0000
54 C 0.0542 0.3295 0.8014
55 C 0.8951 0.7102 0.9958
56 C 0.3245 0.0651 0.6076
57 C 0.4866 0.3062 0.6045
58 C 0.5134 0.6938 0.3955
59 C 0.0991 0.9146 0.1996
60 C 0.9458 0.6705 0.1986
61 C 0.4711 0.7343 0.1919
62 C 0.9009 0.0854 0.8004
63 C 0.5289 0.2657 0.8081
64 C 0.6755 0.9349 0.3924
65 C 0.1049 0.2898 0.0042

***

(4)
The following is a GGA-PBE calculation of a geometry-optimized CuNiH16C8N8 structure, from the Materials Project.

Its space-group type is P-1. The calculated total energy comes out at -6.06 eV/atom. The crystal system is triclinic. As for the formation energy: -0.13 eV per atom.

abc: 6.9109 7.8218 8.1913
angles: 106.53 91.86 107.60
Fractional positions:
1 H 0.0784 0.7876 0.7222
2 H 0.0737 0.0324 0.6241
3 H 0.9216 0.2124 0.2778
4 H 0.9263 0.9676 0.3759
5 H 0.2799 0.3613 0.7771
6 H 0.1318 0.3626 0.0608
7 H 0.7201 0.6387 0.2229
8 H 0.6629 0.9489 0.3603
9 H 0.9672 0.2631 0.8823
10 H 0.6019 0.7126 0.0714
11 H 0.7100 0.0922 0.1441
12 H 0.0328 0.7369 0.1177
13 H 0.3371 0.0511 0.6397
14 H 0.2900 0.9078 0.8559
15 H 0.8682 0.6374 0.9392
16 H 0.3981 0.2874 0.9286
17 N 0.8192 0.4021 0.6816
18 N 0.0880 0.2517 0.9494
19 N 0.9120 0.7483 0.0506
20 N 0.3592 0.1300 0.2139
21 N 0.1808 0.5979 0.3184
22 N 0.8420 0.0825 0.1949
23 N 0.6408 0.8700 0.7861
24 N 0.1580 0.9175 0.8051
25 C 0.2089 0.0603 0.7135
26 C 0.7911 0.9397 0.2865
27 C 0.5831 0.7277 0.6719
28 C 0.7426 0.7460 0.1567
29 C 0.3049 0.5647 0.3948
30 C 0.2574 0.2540 0.8433
31 C 0.6951 0.4353 0.6052
32 C 0.4169 0.2723 0.3281
33 Cu 0.0000 0.0000 0.0000
34 Ni 0.5000 0.5000 0.5000

***

(5)
The following is a GGA-PBE calculation of a geometry-optimized CuH8C4N2O6 structure, from the Materials Project.

Its space-group type is P2_1/c. The calculated total energy comes out at -6.10 eV/atom. The crystal system is monoclinic. As for the formation energy: -0.85 eV per atom.

abc: 7.9979 8.0836 8.1769
angles: 63.27 90.00 90.00
Fractional positions:
1 H 0.2828 0.8329 0.4098
2 H 0.8708 0.6378 0.2401
3 H 0.3708 0.8622 0.7599
4 H 0.5435 0.3648 0.1571
5 H 0.8624 0.6554 0.9491
6 H 0.6292 0.1378 0.2401
7 H 0.0435 0.1352 0.8429
8 H 0.2172 0.3329 0.4098
9 H 0.3624 0.8446 0.0509
10 H 0.1292 0.3622 0.7599
11 H 0.7172 0.1671 0.5902
12 H 0.9565 0.8648 0.1571
13 H 0.7828 0.6671 0.5902
14 H 0.6376 0.1554 0.9491
15 H 0.4565 0.6352 0.8429
16 H 0.1376 0.3446 0.0509
17 O 0.0709 0.7439 0.5664
18 O 0.9435 0.9254 0.8235
19 O 0.4291 0.2439 0.5664
20 O 0.7332 0.4486 0.4392
21 O 0.9291 0.2561 0.4336
22 O 0.5565 0.4254 0.8235
23 O 0.7668 0.9486 0.4392
24 O 0.4435 0.5746 0.1765
25 O 0.2332 0.0514 0.5608
26 O 0.0565 0.0746 0.1765
27 O 0.5709 0.7561 0.4336
28 O 0.2668 0.5514 0.5608
29 N 0.0848 0.2435 0.8663
30 N 0.5848 0.2565 0.1337
31 N 0.4152 0.7435 0.8663
32 N 0.9152 0.7565 0.1337
33 C 0.0940 0.2211 0.0376
34 C 0.2093 0.7143 0.5079
35 C 0.7907 0.2857 0.4921
36 C 0.2907 0.2143 0.5079
37 C 0.9060 0.7789 0.9624
38 C 0.5940 0.2789 0.9624
39 C 0.7093 0.7857 0.4921
40 C 0.4060 0.7211 0.0376
41 Cu 0.5000 0.5000 0.5000
42 Cu 0.0000 0.0000 0.5000

***

(6)
The following is a GGA-PBE calculation of a geometry-optimized CuH3C2NO4 structure, from the Materials Project.

Its space-group type is Pbca. The calculated total energy comes out at -6.30 eV/atom. The crystal system is orthorhombic. As for the formation energy: -1.02 eV per atom.

abc: 8.6641 9.6704 11.2567
angles: 90.00 90.00 90.00
Fractional positions:
1 O 0.1822 0.4154 0.0041
2 O 0.8836 0.3709 0.9360
3 O 0.6164 0.3709 0.4360
4 O 0.0627 0.6441 0.4171
5 O 0.5218 0.4360 0.8547
6 O 0.4782 0.0640 0.3547
7 O 0.9373 0.8559 0.9171
8 O 0.3836 0.1291 0.9360
9 O 0.4373 0.1441 0.5829
10 O 0.1164 0.1291 0.4360
11 O 0.3836 0.6291 0.5640
12 O 0.8178 0.5846 0.9959
13 O 0.9373 0.3559 0.5829
14 O 0.1822 0.9154 0.4959
15 O 0.4782 0.5640 0.1453
16 O 0.4373 0.6441 0.9171
17 O 0.5627 0.8559 0.4171
18 O 0.5218 0.9360 0.6453
19 O 0.8836 0.8709 0.5640
20 O 0.8178 0.0846 0.5041
21 O 0.0627 0.1441 0.0829
22 O 0.3177 0.4154 0.5041
23 O 0.0218 0.0640 0.8547
24 O 0.9782 0.9360 0.1453
25 O 0.0218 0.5640 0.6453
26 O 0.9782 0.4360 0.3547
27 O 0.6822 0.0846 0.0041
28 O 0.6822 0.5846 0.4959
29 O 0.1164 0.6291 0.0640
30 O 0.5627 0.3559 0.0829
31 O 0.3177 0.9154 0.9959
32 O 0.6164 0.8709 0.0640
33 H 0.2509 0.3908 0.2728
34 H 0.2753 0.2270 0.7401
35 H 0.7753 0.2730 0.7401
36 H 0.7491 0.1092 0.7728
37 H 0.2509 0.8908 0.2272
38 H 0.8903 0.1963 0.2057
39 H 0.7247 0.2730 0.2401
40 H 0.7509 0.1092 0.2728
41 H 0.2491 0.3908 0.7728
42 H 0.2247 0.7270 0.2599
43 H 0.7753 0.7730 0.7599
44 H 0.7247 0.7730 0.2599
45 H 0.7509 0.6092 0.2272
46 H 0.6097 0.6963 0.7943
47 H 0.6097 0.1963 0.7057
48 H 0.2753 0.7270 0.7599
49 H 0.2247 0.2270 0.2401
50 H 0.1097 0.8037 0.7943
51 H 0.3903 0.3037 0.2057
52 H 0.2491 0.8908 0.7272
53 H 0.1097 0.3037 0.7057
54 H 0.8903 0.6963 0.2943
55 H 0.3903 0.8037 0.2943
56 H 0.7491 0.6092 0.7272
57 C 0.0849 0.5133 0.0196
58 C 0.0849 0.0133 0.4804
59 C 0.0118 0.0223 0.0647
60 C 0.4151 0.0133 0.9804
61 C 0.9151 0.4867 0.9804
62 C 0.5849 0.9867 0.0196
63 C 0.5118 0.9777 0.4353
64 C 0.0118 0.5223 0.4353
65 C 0.9151 0.9867 0.5196
66 C 0.4151 0.5133 0.5196
67 C 0.4882 0.0223 0.5647
68 C 0.4882 0.5223 0.9353
69 C 0.5118 0.4777 0.0647
70 C 0.9882 0.9777 0.9353
71 C 0.5849 0.4867 0.4804
72 C 0.9882 0.4777 0.5647
73 Cu 0.8868 0.7603 0.0736
74 Cu 0.3868 0.7397 0.0736
75 Cu 0.1132 0.2397 0.9264
76 Cu 0.6132 0.7603 0.5736
77 Cu 0.1132 0.7397 0.5736
78 Cu 0.3868 0.2397 0.4264
79 Cu 0.6132 0.2603 0.9264
80 Cu 0.8868 0.2603 0.4264
81 N 0.8051 0.2028 0.2687
82 N 0.8051 0.7028 0.2313
83 N 0.1949 0.2972 0.7687
84 N 0.3051 0.2972 0.2687
85 N 0.3051 0.7972 0.2313
86 N 0.6949 0.2028 0.7687
87 N 0.1949 0.7972 0.7313
88 N 0.6949 0.7028 0.7313